Sc5RuCl9: optimized geometry, PBE-GGA.

Properties
ΔE_f = -2174 meV per atom
uncorrected energy = -5.644 eV/atom

Unit cell a=11.7665 b=11.7665 c=41.8870 alpha=90.00 beta=90.00 gamma=90.00
Space group I4_1/a (No. 88, origin choice 2)
Symmetry-distinct sites (fractional):
Sc: 0.0431 0.0729 0.4059 (multiplicity 16)
Sc: 0.0471 0.1063 0.5388 (multiplicity 16)
Sc: 0.0494 0.0999 0.0328 (multiplicity 16)
Sc: 0.0574 0.0718 0.6618 (multiplicity 16)
Sc: 0.2276 0.0097 0.5952 (multiplicity 16)
Ru: 0.0399 0.1282 0.5995 (multiplicity 16)
Cl: 0.0450 0.1153 0.2202 (multiplicity 16)
Cl: 0.0457 0.1034 0.7243 (multiplicity 16)
Cl: 0.0517 0.0837 0.4682 (multiplicity 16)
Cl: 0.0544 0.0848 0.9719 (multiplicity 16)
Cl: 0.0584 0.1134 0.8426 (multiplicity 16)
Cl: 0.0625 0.1122 0.3449 (multiplicity 16)
Cl: 0.0690 0.0966 0.0900 (multiplicity 16)
Cl: 0.2339 0.0070 0.1561 (multiplicity 16)
Cl: 0.2479 0.4991 0.7165 (multiplicity 16)


Sc8CuTe3: optimized geometry, PBE-GGA.

Properties
ΔE_f = -760 meV per atom
uncorrected energy = -6.003 eV/atom

Unit cell a=10.7465 b=3.8519 c=20.2046 alpha=90.00 beta=90.04 gamma=90.00
Space group Pm (No. 6)
Symmetry-distinct sites (fractional):
Sc: 0.0000 0.0000 0.0000 (multiplicity 1)
Sc: 0.0007 0.5000 0.4731 (multiplicity 1)
Sc: 0.0687 0.0000 0.3584 (multiplicity 1)
Sc: 0.1397 0.5000 0.7362 (multiplicity 1)
Sc: 0.1419 0.5000 0.2370 (multiplicity 1)
Sc: 0.2320 0.0000 0.8575 (multiplicity 1)
Sc: 0.2705 0.0000 0.4897 (multiplicity 1)
Sc: 0.2832 0.5000 0.9753 (multiplicity 1)
Sc: 0.3262 0.0000 0.1039 (multiplicity 1)
Sc: 0.3501 0.0000 0.3115 (multiplicity 1)
Sc: 0.4308 0.5000 0.6203 (multiplicity 1)
Sc: 0.4580 0.5000 0.8275 (multiplicity 1)
Sc: 0.5012 0.0000 0.9581 (multiplicity 1)
Sc: 0.5118 0.5000 0.4426 (multiplicity 1)
Sc: 0.5682 0.5000 0.0732 (multiplicity 1)
Sc: 0.6395 0.0000 0.6956 (multiplicity 1)
Sc: 0.6427 0.0000 0.1961 (multiplicity 1)
Sc: 0.7115 0.5000 0.5726 (multiplicity 1)
Sc: 0.7644 0.5000 0.9421 (multiplicity 1)
Sc: 0.7805 0.0000 0.4589 (multiplicity 1)
Sc: 0.8245 0.5000 0.3275 (multiplicity 1)
Sc: 0.8510 0.5000 0.1207 (multiplicity 1)
Sc: 0.9201 0.0000 0.8034 (multiplicity 1)
Sc: 0.9588 0.0000 0.6035 (multiplicity 1)
Cu: 0.2463 0.5000 0.3901 (multiplicity 1)
Cu: 0.5347 0.0000 0.5420 (multiplicity 1)
Cu: 0.7435 0.0000 0.0424 (multiplicity 1)
Te: 0.0359 0.5000 0.8920 (multiplicity 1)
Te: 0.1190 0.5000 0.0924 (multiplicity 1)
Te: 0.1651 0.5000 0.5909 (multiplicity 1)
Te: 0.3578 0.0000 0.7275 (multiplicity 1)
Te: 0.4256 0.5000 0.2031 (multiplicity 1)
Te: 0.6167 0.0000 0.3408 (multiplicity 1)
Te: 0.6664 0.0000 0.8408 (multiplicity 1)
Te: 0.8540 0.5000 0.7011 (multiplicity 1)
Te: 0.9251 0.0000 0.2284 (multiplicity 1)


NdCu2Si2: optimized geometry, PBE-GGA.

Properties
ΔE_f = -565 meV per atom
uncorrected energy = -5.357 eV/atom

Unit cell a=4.0652 b=4.0652 c=9.9760 alpha=90.00 beta=90.00 gamma=90.00
Space group I4/mmm (No. 139)
Symmetry-distinct sites (fractional):
Nd: 0.0000 0.0000 0.0000 (multiplicity 2)
Cu: 0.0000 0.5000 0.2500 (multiplicity 4)
Si: 0.0000 0.0000 0.3794 (multiplicity 4)


Cd7GeN6: optimized geometry, PBE-GGA.

Properties
ΔE_f = 339 meV per atom
uncorrected energy = -3.871 eV/atom

Unit cell a=10.2710 b=6.0047 c=13.7405 alpha=90.00 beta=90.00 gamma=90.00
Space group Cmcm (No. 63)
Symmetry-distinct sites (fractional):
Cd: 0.0000 0.1013 0.2500 (multiplicity 4)
Cd: 0.0000 0.2460 0.5322 (multiplicity 8)
Cd: 0.2198 0.3005 0.1193 (multiplicity 16)
Ge: 0.0000 0.3861 0.7500 (multiplicity 4)
N: 0.0000 0.4278 0.1374 (multiplicity 8)
N: 0.1453 0.1913 0.7500 (multiplicity 8)
N: 0.1690 0.0000 0.0000 (multiplicity 8)